First-principles (meta-GGA r2SCAN) data for TiV2O7 after structural relaxation, as listed in the Materials Project database.

Properties
VASP energy: -11.0069 eV/atom

Cell: 8.5835 8.5835 8.5835 Å, 90.00 90.00 90.00°
Space group Pa-3 (No. 205)
One atom of each set of equivalent atoms:
Ti  0.0000  0.0000  0.0000
V  0.1190  0.6190  0.8810
O  0.0000  0.0000  0.5000
O  0.0644  0.6923  0.4003